Entry 1:
! Y2Fe17H3 (PBE-GGA, relaxed); values from VASP
! - Total magnetization: 37.6 μB/f.u.
&SYSTEM
  ibrav = 0, nat = 44, ntyp = 3
/
ATOMIC_SPECIES
Fe 55.84 Fe.upf
H 1.01 H.upf
Y 88.91 Y.upf
ATOMIC_POSITIONS crystal
Fe 0.671 0.048 0.250
Fe 0.833 0.666 0.516
Fe 0.377 0.329 0.250
Fe 0.666 0.833 0.016
Fe 0.833 0.167 0.984
Fe 0.833 0.167 0.516
Fe 0.623 0.671 0.750
Fe 0.952 0.623 0.250
Fe 0.667 0.333 0.106
Fe 0.333 0.667 0.894
Fe 0.671 0.623 0.250
Fe 0.167 0.833 0.016
Fe 0.333 0.667 0.606
Fe 0.833 0.666 0.984
Fe 0.667 0.333 0.394
Fe 0.000 0.500 0.500
Fe 0.167 0.334 0.016
Fe 0.377 0.048 0.250
Fe 0.334 0.167 0.516
Fe 0.952 0.329 0.250
Fe 0.329 0.952 0.750
Fe 0.048 0.671 0.750
Fe 0.167 0.833 0.484
Fe 0.048 0.377 0.750
Fe 0.000 0.500 0.000
Fe 0.500 0.500 0.000
Fe 0.500 0.500 0.500
Fe 0.623 0.952 0.750
Fe 0.334 0.167 0.984
Fe 0.500 0.000 0.000
Fe 0.167 0.334 0.484
Fe 0.666 0.833 0.484
Fe 0.500 0.000 0.500
Fe 0.329 0.377 0.750
H 0.165 0.835 0.250
H 0.835 0.165 0.750
H 0.835 0.670 0.750
H 0.330 0.165 0.750
H 0.165 0.330 0.250
H 0.670 0.835 0.250
Y 0.333 0.667 0.250
Y 0.000 0.000 0.250
Y 0.000 0.000 0.750
Y 0.667 0.333 0.750
CELL_PARAMETERS angstrom
4.274 -7.403 0.000
4.274 7.403 0.000
0.000 0.000 8.242



Entry 2:
! K2TbAuCl6 (PBE-GGA, relaxed); values from VASP
! - Total magnetization: 0.0 μB/f.u.
&SYSTEM
  ibrav = 0, nat = 10, ntyp = 4
/
ATOMIC_SPECIES
Cl 35.45 Cl.upf
Tb 158.93 Tb.upf
Au 196.97 Au.upf
K 39.10 K.upf
ATOMIC_POSITIONS crystal
Cl 0.755 0.245 0.755
Cl 0.245 0.755 0.755
Cl 0.755 0.755 0.245
Cl 0.755 0.245 0.245
Cl 0.245 0.755 0.245
Cl 0.245 0.245 0.755
Tb 0.000 0.000 0.000
Au 0.500 0.500 0.500
K 0.250 0.250 0.250
K 0.750 0.750 0.750
CELL_PARAMETERS angstrom
2.565 -5.486 4.609
-2.487 -7.144 -0.836
4.674 -5.364 -2.702



Entry 3:
! Ba5Zn2B4O12F2 (PBE-GGA, relaxed); values from VASP
! - Total magnetization: 0.0 μB/f.u.
&SYSTEM
  ibrav = 0, nat = 50, ntyp = 5
/
ATOMIC_SPECIES
Ba 137.33 Ba.upf
O 16.00 O.upf
B 10.81 B.upf
Zn 65.41 Zn.upf
F 19.00 F.upf
ATOMIC_POSITIONS crystal
Ba 0.738 0.927 0.401
Ba 0.069 0.931 0.750
Ba 0.537 0.314 0.665
Ba 0.927 0.738 0.901
Ba 0.262 0.073 0.599
Ba 0.073 0.262 0.099
Ba 0.463 0.686 0.335
Ba 0.686 0.463 0.835
Ba 0.931 0.069 0.250
Ba 0.314 0.537 0.165
O 0.102 0.071 0.909
O 0.198 0.567 0.532
O 0.456 0.907 0.228
O 0.811 0.625 0.943
O 0.929 0.898 0.591
O 0.071 0.102 0.409
O 0.369 0.081 0.835
O 0.093 0.544 0.272
O 0.277 0.772 0.041
O 0.567 0.198 0.032
O 0.544 0.093 0.772
O 0.228 0.723 0.459
O 0.189 0.375 0.057
O 0.081 0.369 0.335
O 0.723 0.228 0.959
O 0.625 0.811 0.443
O 0.433 0.802 0.968
O 0.802 0.433 0.468
O 0.375 0.189 0.557
O 0.919 0.631 0.665
O 0.907 0.456 0.728
O 0.898 0.929 0.091
O 0.631 0.919 0.165
O 0.772 0.277 0.541
B 0.114 0.732 0.530
B 0.732 0.114 0.030
B 0.571 0.878 0.276
B 0.878 0.571 0.776
B 0.886 0.268 0.470
B 0.122 0.429 0.224
B 0.429 0.122 0.724
B 0.268 0.886 0.970
Zn 0.462 0.155 0.017
Zn 0.845 0.538 0.483
Zn 0.155 0.462 0.517
Zn 0.538 0.845 0.983
F 0.763 0.391 0.149
F 0.237 0.609 0.851
F 0.391 0.763 0.649
F 0.609 0.237 0.351
CELL_PARAMETERS angstrom
6.974 -11.456 -2.098
8.332 -7.189 -7.948
7.464 1.527 2.846



Entry 4:
! GdAl20Cr2 (PBE-GGA, relaxed); values from VASP
! - Total magnetization: 0.5 μB/f.u.
&SYSTEM
  ibrav = 0, nat = 46, ntyp = 3
/
ATOMIC_SPECIES
Al 26.98 Al.upf
Gd 157.25 Gd.upf
Cr 52.00 Cr.upf
ATOMIC_POSITIONS crystal
Al 0.299 0.299 0.834
Al 0.951 0.951 0.682
Al 0.137 0.137 0.863
Al 0.416 0.682 0.951
Al 0.299 0.834 0.299
Al 0.387 0.113 0.113
Al 0.625 0.125 0.625
Al 0.568 0.299 0.299
Al 0.682 0.951 0.951
Al 0.113 0.387 0.387
Al 0.682 0.951 0.416
Al 0.625 0.625 0.625
Al 0.951 0.682 0.416
Al 0.387 0.387 0.113
Al 0.568 0.834 0.299
Al 0.834 0.568 0.299
Al 0.682 0.416 0.951
Al 0.416 0.951 0.951
Al 0.625 0.625 0.125
Al 0.299 0.568 0.834
Al 0.113 0.387 0.113
Al 0.299 0.299 0.568
Al 0.125 0.625 0.625
Al 0.299 0.568 0.299
Al 0.113 0.113 0.387
Al 0.863 0.863 0.137
Al 0.137 0.863 0.137
Al 0.951 0.951 0.416
Al 0.951 0.682 0.951
Al 0.951 0.416 0.682
Al 0.416 0.951 0.682
Al 0.863 0.137 0.137
Al 0.299 0.834 0.568
Al 0.834 0.299 0.299
Al 0.137 0.863 0.863
Al 0.834 0.299 0.568
Al 0.951 0.416 0.951
Al 0.863 0.137 0.863
Al 0.387 0.113 0.387
Al 0.568 0.299 0.834
Gd 0.750 0.750 0.750
Gd 0.500 0.500 0.500
Cr 0.625 0.125 0.125
Cr 0.125 0.125 0.125
Cr 0.125 0.625 0.125
Cr 0.125 0.125 0.625
CELL_PARAMETERS angstrom
-1.616 -9.317 3.866
-6.958 -6.156 -4.248
2.991 -8.274 -5.192



Entry 5:
! Rb3EuCl6 (PBE-GGA, relaxed); values from VASP
! - Total magnetization: 6.0 μB/f.u.
&SYSTEM
  ibrav = 0, nat = 10, ntyp = 3
/
ATOMIC_SPECIES
Rb 85.47 Rb.upf
Cl 35.45 Cl.upf
Eu 151.96 Eu.upf
ATOMIC_POSITIONS crystal
Rb 0.750 0.750 0.750
Rb 0.250 0.250 0.250
Rb 0.500 0.500 0.500
Cl 0.767 0.767 0.233
Cl 0.767 0.233 0.233
Cl 0.233 0.767 0.233
Cl 0.233 0.233 0.767
Cl 0.767 0.233 0.767
Cl 0.233 0.767 0.767
Eu 0.000 0.000 0.000
CELL_PARAMETERS angstrom
-7.560 -3.131 -0.805
-6.265 3.244 4.223
-5.825 4.277 -3.922



Entry 6:
! CeSiAs3 (PBE-GGA, relaxed); values from VASP
! - Total magnetization: 0.2 μB/f.u.
&SYSTEM
  ibrav = 0, nat = 40, ntyp = 3
/
ATOMIC_SPECIES
Ce 140.12 Ce.upf
Si 28.09 Si.upf
As 74.92 As.upf
ATOMIC_POSITIONS crystal
Ce 0.013 0.085 0.753
Ce 0.487 0.585 0.253
Ce 0.017 0.410 0.253
Ce 0.513 0.415 0.753
Ce 0.983 0.590 0.753
Ce 0.483 0.910 0.753
Ce 0.517 0.090 0.253
Ce 0.987 0.915 0.253
Si 0.558 0.704 0.837
Si 0.614 0.206 0.834
Si 0.114 0.294 0.834
Si 0.442 0.296 0.337
Si 0.942 0.204 0.337
Si 0.386 0.794 0.334
Si 0.886 0.706 0.334
Si 0.058 0.796 0.837
As 0.489 0.880 0.249
As 0.975 0.883 0.749
As 0.729 0.999 0.515
As 0.025 0.117 0.249
As 0.727 0.999 0.999
As 0.771 0.499 0.015
As 0.475 0.617 0.749
As 0.563 0.211 0.235
As 0.229 0.501 0.515
As 0.437 0.789 0.735
As 0.496 0.293 0.736
As 0.989 0.620 0.249
As 0.937 0.711 0.735
As 0.773 0.499 0.499
As 0.011 0.380 0.749
As 0.996 0.207 0.736
As 0.504 0.707 0.236
As 0.004 0.793 0.236
As 0.227 0.501 0.999
As 0.273 0.001 0.499
As 0.063 0.289 0.235
As 0.271 0.001 0.015
As 0.525 0.383 0.249
As 0.511 0.120 0.749
CELL_PARAMETERS angstrom
-5.460 1.502 -1.955
-10.551 -16.616 16.702
-0.283 4.272 4.072



Entry 7:
Material: Sm3Ag4Ge4
Method: DFT, PBE-GGA
State: relaxed Values from VASP.

```
&SYSTEM
  ibrav = 0, nat = 11, ntyp = 3
/
ATOMIC_SPECIES
Ag 107.87 Ag.upf
Sm 150.36 Sm.upf
Ge 72.64 Ge.upf
ATOMIC_POSITIONS crystal
Ag 0.331 0.636 0.662
Ag 0.669 0.364 0.338
Ag 0.669 0.974 0.338
Ag 0.331 0.026 0.662
Sm 0.873 0.373 0.745
Sm 0.000 0.000 0.000
Sm 0.127 0.627 0.255
Ge 0.783 0.783 0.567
Ge 0.500 0.318 0.000
Ge 0.217 0.217 0.433
Ge 0.500 0.682 0.000
CELL_PARAMETERS angstrom
-4.275 -0.092 -1.127
-1.432 -4.059 5.764
1.674 8.138 1.659
```



Entry 8:
! Ho2Cu5Ag5 (PBE-GGA, relaxed); values from VASP
! - Total magnetization: 0.0 μB/f.u.
&SYSTEM
  ibrav = 0, nat = 12, ntyp = 3
/
ATOMIC_SPECIES
Cu 63.55 Cu.upf
Ag 107.87 Ag.upf
Ho 164.93 Ho.upf
ATOMIC_POSITIONS crystal
Cu 0.366 0.745 0.877
Cu 0.694 0.379 0.937
Cu 0.945 0.384 0.176
Cu 0.438 0.371 0.697
Cu 0.869 0.747 0.376
Ag 0.934 0.371 0.696
Ag 0.446 0.883 0.179
Ag 0.934 0.867 0.696
Ag 0.192 0.378 0.436
Ag 0.446 0.384 0.179
Ho 0.996 0.998 0.000
Ho 0.490 0.994 0.502
CELL_PARAMETERS angstrom
-3.662 -3.721 0.211
0.000 3.931 -3.931
3.870 -3.508 -7.439



Entry 9:
! Ti4Fe (PBE-GGA, relaxed); values from VASP
! - Total magnetization: 0.0 μB/f.u.
&SYSTEM
  ibrav = 0, nat = 5, ntyp = 2
/
ATOMIC_SPECIES
Ti 47.87 Ti.upf
Fe 55.84 Fe.upf
ATOMIC_POSITIONS crystal
Ti 0.417 0.417 0.583
Ti 0.803 0.803 0.197
Ti 0.583 0.583 0.417
Ti 0.197 0.197 0.803
Fe 0.000 0.000 0.000
CELL_PARAMETERS angstrom
9.251 -5.409 0.962
8.782 -4.756 3.667
-0.918 -2.627 -0.473



Entry 10:
! Th2ZrUO8 (PBE-GGA, relaxed); values from VASP
! - Total magnetization: 2.0 μB/f.u.
&SYSTEM
  ibrav = 0, nat = 12, ntyp = 4
/
ATOMIC_SPECIES
O 16.00 O.upf
Zr 91.22 Zr.upf
Th 232.04 Th.upf
U 238.03 U.upf
ATOMIC_POSITIONS crystal
O 0.000 0.500 0.889
O 0.000 0.500 0.365
O 0.500 0.000 0.365
O 0.500 0.000 0.627
O 0.000 0.500 0.119
O 0.000 0.500 0.627
O 0.500 0.000 0.889
O 0.500 0.000 0.119
Zr 0.000 0.000 0.003
Th 0.000 0.000 0.496
Th 0.500 0.500 0.759
U 0.500 0.500 0.240
CELL_PARAMETERS angstrom
-0.441 -3.618 -1.266
3.047 0.442 -2.326
6.591 -3.588 7.956



Entry 11:
! Mg6SbW (PBE-GGA, relaxed); values from VASP
! - Total magnetization: 0.0 μB/f.u.
&SYSTEM
  ibrav = 0, nat = 16, ntyp = 3
/
ATOMIC_SPECIES
Mg 24.30 Mg.upf
W 183.84 W.upf
Sb 121.76 Sb.upf
ATOMIC_POSITIONS crystal
Mg 0.000 0.262 0.585
Mg 0.500 0.748 0.917
Mg 0.000 0.500 0.825
Mg 0.000 0.738 0.585
Mg 0.000 0.238 0.085
Mg 0.500 0.752 0.417
Mg 0.000 0.762 0.085
Mg 0.000 0.000 0.835
Mg 0.000 0.000 0.325
Mg 0.000 0.500 0.335
Mg 0.500 0.248 0.417
Mg 0.500 0.252 0.917
W 0.500 0.500 0.666
W 0.500 0.000 0.166
Sb 0.500 0.500 0.170
Sb 0.500 0.000 0.670
CELL_PARAMETERS angstrom
-1.745 -3.475 -3.436
-2.259 -3.227 4.411
-9.250 5.413 -0.777



Entry 12:
! LiMo3Se3 (PBE-GGA, relaxed); values from VASP
! - Total magnetization: 0.0 μB/f.u.
&SYSTEM
  ibrav = 0, nat = 14, ntyp = 3
/
ATOMIC_SPECIES
Se 78.96 Se.upf
Mo 95.94 Mo.upf
Li 6.94 Li.upf
ATOMIC_POSITIONS crystal
Se 0.697 0.063 0.250
Se 0.937 0.634 0.250
Se 0.303 0.937 0.750
Se 0.634 0.697 0.750
Se 0.063 0.366 0.750
Se 0.366 0.303 0.250
Mo 0.968 0.815 0.750
Mo 0.847 0.032 0.750
Mo 0.032 0.185 0.250
Mo 0.815 0.847 0.250
Mo 0.185 0.153 0.750
Mo 0.153 0.968 0.250
Li 0.333 0.667 0.750
Li 0.667 0.333 0.250
CELL_PARAMETERS angstrom
-2.476 8.553 1.205
0.907 -3.286 -8.314
-4.347 -1.262 0.024



Entry 13:
! CsMg6Cd (PBE-GGA, relaxed); values from VASP
! - Total magnetization: 0.0 μB/f.u.
&SYSTEM
  ibrav = 0, nat = 16, ntyp = 3
/
ATOMIC_SPECIES
Cd 112.41 Cd.upf
Mg 24.30 Mg.upf
Cs 132.91 Cs.upf
ATOMIC_POSITIONS crystal
Cd 0.500 0.500 0.143
Cd 0.500 0.000 0.643
Mg 0.500 0.500 0.666
Mg 0.000 0.500 0.839
Mg 0.000 0.753 0.581
Mg 0.500 0.283 0.928
Mg 0.500 0.783 0.428
Mg 0.000 0.000 0.339
Mg 0.500 0.000 0.166
Mg 0.500 0.217 0.428
Mg 0.000 0.247 0.581
Mg 0.000 0.253 0.081
Mg 0.000 0.747 0.081
Mg 0.500 0.717 0.928
Cs 0.000 0.500 0.333
Cs 0.000 0.000 0.833
CELL_PARAMETERS angstrom
-1.352 -1.479 -4.984
6.435 -3.150 -0.812
-4.507 -10.312 4.282



Entry 14:
! Ca3Ti3N5 (PBE-GGA, relaxed); values from VASP
! - Total magnetization: 0.0 μB/f.u.
&SYSTEM
  ibrav = 0, nat = 22, ntyp = 3
/
ATOMIC_SPECIES
N 14.01 N.upf
Ti 47.87 Ti.upf
Ca 40.08 Ca.upf
ATOMIC_POSITIONS crystal
N 0.265 0.275 0.458
N 0.238 0.501 0.098
N 0.001 0.904 0.160
N 0.190 0.665 0.784
N 0.762 0.499 0.902
N 0.999 0.096 0.840
N 0.604 0.052 0.370
N 0.396 0.948 0.630
N 0.810 0.335 0.216
N 0.735 0.725 0.542
Ti 0.276 0.014 0.406
Ti 0.109 0.865 0.705
Ti 0.891 0.135 0.295
Ti 0.893 0.316 0.992
Ti 0.107 0.684 0.008
Ti 0.724 0.986 0.594
Ca 0.653 0.821 0.872
Ca 0.704 0.659 0.223
Ca 0.258 0.570 0.422
Ca 0.296 0.341 0.777
Ca 0.742 0.430 0.578
Ca 0.347 0.179 0.128
CELL_PARAMETERS angstrom
-5.532 -1.648 0.691
3.923 -4.851 4.544
0.281 7.399 3.333



no.,energy (eV/atom),energy relative to the elements (meV per atom)
1,-7.65,-84
2,-3.75,-2001
3,-6.76,-3046
4,-4.64,69
5,-4.31,-2252
6,-5.66,-593
7,-4.55,-549
8,-3.70,-48
9,-8.01,-4
10,-9.72,-3989
11,-3.09,247
12,-7.01,-789
13,-1.17,253
14,-7.72,-1390